Below is crystalline Rb5Tl11Cd2 at its relaxed geometry, with properties calculated at the PBE level.

Unit cell a=5.863 b=11.161 c=11.161 alpha=107.39 beta=90.00 gamma=90.00
Sites, in units of the cell vectors:
Rb 0.000 0.000 0.000
Rb 0.000 0.593 0.978
Rb 0.000 0.978 0.593
Rb 0.500 0.259 0.882
Rb 0.500 0.882 0.259
Tl 0.000 0.157 0.353
Tl 0.000 0.343 0.663
Tl 0.000 0.353 0.157
Tl 0.000 0.661 0.661
Tl 0.000 0.663 0.343
Tl 0.500 0.200 0.200
Tl 0.500 0.205 0.519
Tl 0.500 0.510 0.716
Tl 0.500 0.519 0.205
Tl 0.500 0.716 0.510
Tl 0.500 0.811 0.811
Cd 0.251 0.433 0.433
Cd 0.749 0.433 0.433

Results
- E_form: -0.106 eV/atom
- DFT total energy: -34.65 eV/cell